# 1
The following is a DFT calculation (PBE with a Hubbard U) of a relaxed structure of VIO4.

a = 7.0382 Å, b = 7.0382 Å, c = 9.2797 Å
α = 80.30°, β = 80.30°, γ = 84.98°
Fractional positions:
1 O 0.8623 0.8623 0.5088
2 O 0.4811 0.7945 0.4830
3 O 0.2055 0.5189 0.5170
4 O 0.7615 0.0626 0.8929
5 O 0.5189 0.2055 0.5170
6 V 0.7549 0.2451 0.0000
7 O 0.7945 0.4811 0.4830
8 I 0.2395 0.2395 0.1068
9 O 0.1377 0.1377 0.4912
10 O 0.7656 0.4634 0.8768
11 O 0.2344 0.5366 0.1232
12 O 0.4634 0.7656 0.8768
13 O 0.7844 0.7844 0.2386
14 O 0.2385 0.9374 0.1071
15 V 0.7273 0.7273 0.4180
16 O 0.5366 0.2344 0.1232
17 V 0.2451 0.7549 0.0000
18 O 0.9374 0.2385 0.1071
19 O 0.0626 0.7615 0.8929
20 I 0.7605 0.7605 0.8932
21 I 0.8040 0.1960 0.5000
22 O 0.2156 0.2156 0.7614
23 V 0.2727 0.2727 0.5820
24 I 0.1960 0.8040 0.5000

Results
Crystal system: monoclinic

# 2
The following is a DFT calculation (PBE with a Hubbard U) of a relaxed structure of KNdEuWO6.

a = 8.4899 Å, b = 8.4838 Å, c = 8.5135 Å
α = 90.00°, β = 90.00°, γ = 90.00°
Fractional positions:
1 O 0.7111 0.2238 0.5219
2 O 0.7734 0.5227 0.2776
3 O 0.0229 0.2207 0.2678
4 O 0.7889 0.7238 0.0219
5 O 0.9771 0.7793 0.2678
6 W 0.2500 0.7500 0.7500
7 K 0.0000 0.0000 0.5000
8 O 0.2111 0.7238 0.9781
9 O 0.2734 0.9773 0.7776
10 Eu 0.0000 0.0000 0.0000
11 K 0.5000 0.0000 0.0000
12 O 0.7266 0.0227 0.7776
13 O 0.7734 0.4773 0.7224
14 Eu 0.5000 0.5000 0.5000
15 O 0.4771 0.7207 0.7678
16 K 0.5000 0.5000 0.0000
17 O 0.2266 0.4773 0.2776
18 O 0.2266 0.5227 0.7224
19 O 0.9771 0.2207 0.7322
20 O 0.2889 0.2238 0.4781
21 W 0.2500 0.2500 0.2500
22 O 0.2889 0.7762 0.5219
23 W 0.7500 0.2500 0.7500
24 O 0.4771 0.2793 0.2322
25 O 0.5229 0.7207 0.2322
26 O 0.5229 0.2793 0.7678
27 Nd 0.2500 0.2500 0.7500
28 O 0.7266 0.9773 0.2224
29 O 0.7111 0.7762 0.4781
30 Nd 0.2500 0.7500 0.2500
31 O 0.0229 0.7793 0.7322
32 Eu 0.5000 0.0000 0.5000
33 Nd 0.7500 0.7500 0.7500
34 K 0.0000 0.5000 0.5000
35 Eu 0.0000 0.5000 0.0000
36 O 0.2734 0.0227 0.2224
37 O 0.2111 0.2762 0.0219
38 Nd 0.7500 0.2500 0.2500
39 W 0.7500 0.7500 0.2500
40 O 0.7889 0.2762 0.9781

Results
Crystal system: orthorhombic

# 3
The following is a DFT calculation (PBE with a Hubbard U) of a relaxed structure of VCuHPbO5.

a = 6.1637 Å, b = 7.8453 Å, c = 9.2784 Å
α = 90.00°, β = 90.00°, γ = 90.00°
Fractional positions:
1 O 0.2500 0.7863 0.4153
2 Pb 0.2500 0.1399 0.8302
3 O 0.2500 0.9402 0.0814
4 Cu 0.0000 0.5000 0.0000
5 O 0.7500 0.7137 0.9153
6 Pb 0.7500 0.8601 0.1698
7 O 0.0048 0.1094 0.3015
8 V 0.2500 0.6115 0.3034
9 O 0.7500 0.2137 0.5847
10 V 0.7500 0.8885 0.8034
11 H 0.2500 0.7476 0.9951
12 V 0.7500 0.3885 0.6966
13 O 0.4952 0.6094 0.1985
14 Pb 0.7500 0.3601 0.3302
15 O 0.5048 0.3906 0.8015
16 O 0.7500 0.5598 0.5814
17 H 0.7500 0.2524 0.0049
18 O 0.2500 0.4402 0.4186
19 O 0.9952 0.8906 0.6985
20 O 0.7500 0.0598 0.9186
21 O 0.2500 0.1376 0.5602
22 O 0.2500 0.6376 0.9398
23 O 0.2500 0.2863 0.0847
24 H 0.7500 0.7524 0.4951
25 Cu 0.5000 0.0000 0.5000
26 O 0.7500 0.3624 0.0602
27 Pb 0.2500 0.6399 0.6698
28 Cu 0.5000 0.5000 0.0000
29 O 0.4952 0.1094 0.3015
30 V 0.2500 0.1115 0.1966
31 Cu 0.0000 0.0000 0.5000
32 O 0.0048 0.6094 0.1985
33 H 0.2500 0.2476 0.5049
34 O 0.9952 0.3906 0.8015
35 O 0.5048 0.8906 0.6985
36 O 0.7500 0.8624 0.4398

Results
Crystal system: orthorhombic

# 4
The following is a DFT calculation (PBE with a Hubbard U) of a relaxed structure of NaMnH6C3S3N3O3.

a = 10.2483 Å, b = 10.2483 Å, c = 6.7254 Å
α = 90.00°, β = 90.00°, γ = 120.00°
Fractional positions:
1 O 0.8188 0.8371 0.2452
2 N 0.6524 0.5086 0.8667
3 O 0.1812 0.1629 0.7548
4 H 0.7374 0.9261 0.7486
5 O 0.9817 0.8188 0.7548
6 H 0.8982 0.7151 0.7617
7 C 0.5798 0.9771 0.2059
8 N 0.8562 0.3476 0.8667
9 H 0.1887 0.2626 0.7486
10 S 0.8573 0.5366 0.3082
11 H 0.9261 0.1887 0.2514
12 O 0.8371 0.0183 0.7548
13 H 0.2849 0.1831 0.7617
14 Mn 0.6667 0.3333 0.0242
15 C 0.9771 0.3972 0.7941
16 C 0.6028 0.5798 0.7941
17 Mn 0.3333 0.6667 0.9758
18 H 0.1018 0.2849 0.2383
19 S 0.6793 0.1427 0.3082
20 H 0.8169 0.1018 0.7617
21 H 0.2626 0.0739 0.2514
22 Na 0.0000 0.0000 0.5000
23 H 0.8113 0.7374 0.2514
24 H 0.0739 0.8113 0.7486
25 O 0.1629 0.9817 0.2452
26 S 0.1427 0.4634 0.6918
27 N 0.1438 0.6524 0.1333
28 N 0.5086 0.8562 0.1333
29 S 0.3207 0.8573 0.6918
30 C 0.4202 0.0229 0.7941
31 H 0.7151 0.8169 0.2383
32 H 0.1831 0.8982 0.2383
33 N 0.3476 0.4914 0.1333
34 S 0.5366 0.6793 0.6918
35 O 0.0183 0.1812 0.2452
36 Na 0.0000 0.0000 0.0000
37 C 0.0229 0.6028 0.2059
38 N 0.4914 0.1438 0.8667
39 S 0.4634 0.3207 0.3082
40 C 0.3972 0.4202 0.2059

Results
Crystal system: trigonal

# 5
The following is a DFT calculation (PBE with a Hubbard U) of a relaxed structure of Fe7As6O24.

a = 6.6973 Å, b = 8.2344 Å, c = 9.8317 Å
α = 104.84°, β = 107.79°, γ = 101.83°
Fractional positions:
1 O 0.2428 0.7860 0.9753
2 O 0.6455 0.7445 0.0020
3 O 0.2214 0.7024 0.4511
4 As 0.0995 0.0995 0.3344
5 O 0.7786 0.2976 0.5489
6 O 0.8710 0.9652 0.3448
7 As 0.7723 0.3486 0.7306
8 O 0.3234 0.0322 0.4179
9 Fe 0.7200 0.6960 0.2108
10 O 0.7381 0.4760 0.2643
11 O 0.9937 0.3041 0.8455
12 O 0.0063 0.6959 0.1545
13 Fe 0.9541 0.7812 0.9756
14 O 0.4452 0.8750 0.7789
15 As 0.9005 0.9005 0.6656
16 Fe 0.0459 0.2188 0.0244
17 Fe 0.3795 0.9539 0.6105
18 O 0.7572 0.2140 0.0247
19 O 0.3545 0.2555 0.9980
20 O 0.9311 0.9513 0.8553
21 O 0.4742 0.7758 0.2764
22 O 0.1290 0.0348 0.6552
23 Fe 0.6205 0.0461 0.3895
24 O 0.6766 0.9678 0.5821
25 O 0.5548 0.1250 0.2211
26 As 0.3954 0.7320 0.8711
27 As 0.2277 0.6514 0.2694
28 Fe 0.0000 0.5000 0.5000
29 O 0.1374 0.3110 0.4270
30 O 0.2619 0.5240 0.7357
31 O 0.7884 0.5626 0.8025
32 O 0.2116 0.4374 0.1975
33 Fe 0.2800 0.3040 0.7892
34 O 0.0689 0.0487 0.1447
35 O 0.5258 0.2242 0.7236
36 As 0.6046 0.2680 0.1289
37 O 0.8626 0.6890 0.5730

Results
Crystal system: triclinic

# 6
The following is a DFT calculation (PBE with a Hubbard U) of a relaxed structure of Li3Fe4WO8.

a = 10.6327 Å, b = 10.6327 Å, c = 14.9630 Å
α = 19.45°, β = 19.45°, γ = 33.69°
Fractional positions:
1 O 0.0299 0.4931 0.2316
2 O 0.9701 0.5069 0.7684
3 Fe 0.5000 0.0000 0.0000
4 Fe 0.0000 0.0000 0.5000
5 O 0.0026 0.0026 0.7404
6 O 0.5108 0.5108 0.2355
7 O 0.9974 0.9974 0.2596
8 Li 0.5000 0.0000 0.5000
9 O 0.4892 0.4892 0.7645
10 Fe 0.0000 0.0000 0.0000
11 Fe 0.0000 0.5000 0.0000
12 O 0.4931 0.0299 0.2316
13 Li 0.5000 0.5000 0.5000
14 Li 0.0000 0.5000 0.5000
15 W 0.5000 0.5000 0.0000
16 O 0.5069 0.9701 0.7684

Results
Crystal system: monoclinic

# 7
The following is a DFT calculation (PBE with a Hubbard U) of a relaxed structure of YCu3W6O24.

a = 5.9931 Å, b = 9.5256 Å, c = 17.5000 Å
α = 60.30°, β = 90.00°, γ = 90.00°
Fractional positions:
1 O 0.3861 0.5184 0.3718
2 O 0.9007 0.1260 0.4762
3 O 0.9051 0.4596 0.1456
4 O 0.4014 0.8205 0.7920
5 W 0.8257 0.2348 0.2524
6 O 0.6139 0.5184 0.8718
7 W 0.1742 0.0823 0.4160
8 O 0.0949 0.2070 0.1883
9 O 0.5986 0.1795 0.2080
10 O 0.0949 0.7930 0.3117
11 O 0.3271 0.3353 0.0192
12 O 0.6654 0.0041 0.8543
13 W 0.1664 0.4211 0.0765
14 O 0.3346 0.0041 0.3543
15 O 0.9007 0.8740 0.0238
16 W 0.8257 0.7652 0.2476
17 O 0.8931 0.2939 0.8160
18 W 0.1742 0.9177 0.0840
19 Cu 0.7071 0.3333 0.4147
20 O 0.1106 0.6259 0.9813
21 W 0.8258 0.0823 0.9160
22 Cu 0.3050 0.0000 0.2500
23 Y 0.3400 0.5000 0.2500
24 O 0.3417 0.3341 0.8077
25 O 0.5986 0.8205 0.2920
26 W 0.8336 0.5789 0.9235
27 O 0.6654 0.9959 0.6457
28 O 0.8921 0.0405 0.3505
29 O 0.3271 0.6647 0.4808
30 O 0.6027 0.8455 0.5460
31 O 0.6729 0.3353 0.5192
32 O 0.8931 0.7061 0.6840
33 W 0.1743 0.2348 0.7524
34 O 0.4014 0.1795 0.7080
35 O 0.8894 0.3741 0.0187
36 O 0.0993 0.1260 0.9762
37 O 0.3973 0.1545 0.4540
38 Cu 0.2929 0.6667 0.5853
39 O 0.6583 0.3341 0.3077
40 O 0.3973 0.8455 0.0460
41 O 0.6729 0.6647 0.9808
42 O 0.9051 0.5404 0.3544
43 W 0.1664 0.5789 0.4235
44 W 0.1743 0.7652 0.7476
45 O 0.0949 0.5404 0.8544
46 O 0.9051 0.2070 0.6883
47 O 0.0949 0.4596 0.6456
48 O 0.1079 0.0405 0.8505
49 Cu 0.7071 0.6667 0.0853
50 O 0.6027 0.1545 0.9540
51 Cu 0.6950 0.0000 0.7500
52 O 0.3417 0.6659 0.6923
53 Cu 0.2929 0.3333 0.9147
54 O 0.6583 0.6659 0.1923
55 Y 0.6600 0.5000 0.7500
56 W 0.8336 0.4211 0.5765
57 O 0.0993 0.8740 0.5238
58 O 0.9051 0.7930 0.8117
59 O 0.8894 0.6259 0.4813
60 O 0.1069 0.7061 0.1840
61 O 0.1069 0.2939 0.3160
62 O 0.8921 0.9595 0.1495
63 O 0.1079 0.9595 0.6495
64 O 0.1106 0.3741 0.5187
65 O 0.6139 0.4816 0.6282
66 O 0.3346 0.9959 0.1457
67 O 0.3861 0.4816 0.1282
68 W 0.8258 0.9177 0.5840

Results
Crystal system: monoclinic

# 8
The following is a DFT calculation (PBE with a Hubbard U) of a relaxed structure of LiCr2P3O10.

a = 8.6578 Å, b = 4.7441 Å, c = 9.4929 Å
α = 77.76°, β = 90.00°, γ = 90.00°
Fractional positions:
1 O 0.1017 0.1530 0.1842
2 O 0.1028 0.7456 0.4657
3 O 0.6028 0.2544 0.5343
4 P 0.7500 0.6749 0.8246
5 O 0.2500 0.7727 0.7641
6 O 0.3976 0.3020 0.8562
7 O 0.8983 0.8470 0.8158
8 O 0.2500 0.2779 0.5515
9 O 0.6024 0.6980 0.1438
10 P 0.2500 0.3251 0.1754
11 O 0.8976 0.6980 0.1438
12 O 0.7500 0.4675 0.7148
13 O 0.7500 0.4403 0.9738
14 Li 0.5000 0.0000 0.0000
15 O 0.3983 0.1530 0.1842
16 O 0.6017 0.8470 0.8158
17 O 0.3972 0.7456 0.4657
18 P 0.2500 0.5802 0.4501
19 Li 0.0000 0.0000 0.0000
20 O 0.7500 0.7221 0.4485
21 O 0.8972 0.2544 0.5343
22 O 0.2500 0.5597 0.0262
23 O 0.2500 0.5325 0.2852
24 Cr 0.9358 0.9583 0.3305
25 O 0.1024 0.3020 0.8562
26 Cr 0.5642 0.9583 0.3305
27 Cr 0.4358 0.0417 0.6695
28 Cr 0.0642 0.0417 0.6695
29 P 0.7500 0.4198 0.5499
30 O 0.7500 0.2273 0.2359
31 P 0.2500 0.4691 0.8656
32 P 0.7500 0.5309 0.1344

Results
Crystal system: monoclinic

| no. | ρ (kg/m³) | raw total energy (eV/atom) | ΔE_f (eV/atom) |
| --- | --- | --- | --- |
| 1 | 3603 | -5.847 | -1.522 |
| 2 | 6663 | -7.871 | -2.849 |
| 3 | 5961 | -6.155 | -1.722 |
| 4 | 1663 | -5.999 | -0.721 |
| 5 | 4282 | -6.396 | -1.701 |
| 6 | 5744 | -6.386 | -1.811 |
| 7 | 6761 | -6.941 | -1.878 |
| 8 | 3171 | -7.318 | -2.564 |